# Nb13Pb15O50 (PBE, optimized geometry)
data_Nb13Pb15O50
_symmetry_space_group_name_H-M 'P 1'
_symmetry_Int_Tables_number 1
_symmetry_space_group_name_Hall 'P 1'
_cell_length_a 7.658
_cell_length_b 7.658
_cell_length_c 22.995
_cell_angle_alpha 80.41
_cell_angle_beta 80.41
_cell_angle_gamma 60.00
loop_
_atom_site_label
_atom_site_type_symbol
_atom_site_fract_x
_atom_site_fract_y
_atom_site_fract_z
_atom_site_occupancy
O1 O 0.673 0.673 0.370 1
O2 O 0.175 0.799 0.850 1
O3 O 0.391 0.391 0.193 1
O4 O 0.751 0.751 0.123 1
Nb1 Nb 0.316 0.316 0.554 1
Pb1 Pb 0.176 0.673 0.975 1
O5 O 0.027 0.027 0.542 1
O6 O 0.533 0.915 0.020 1
Nb2 Nb 0.102 0.102 0.693 1
Nb3 Nb 0.889 0.889 0.834 1
O7 O 0.284 0.673 0.370 1
O8 O 0.499 0.104 0.293 1
O9 O 0.959 0.336 0.747 1
O10 O 0.980 0.602 0.816 1
O11 O 0.819 0.819 0.919 1
O12 O 0.375 0.751 0.123 1
Nb4 Nb 0.530 0.530 0.411 1
O13 O 0.755 0.386 0.472 1
O14 O 0.425 0.425 0.724 1
O15 O 0.602 0.980 0.816 1
O16 O 0.997 0.997 0.010 1
Pb2 Pb 0.602 0.103 0.693 1
Nb5 Nb 0.964 0.461 0.113 1
Nb6 Nb 0.248 0.248 0.255 1
O17 O 0.027 0.404 0.542 1
Pb3 Pb 0.532 0.030 0.408 1
O18 O 0.533 0.533 0.020 1
O19 O 0.386 0.755 0.472 1
O20 O 0.404 0.027 0.542 1
O21 O 0.751 0.375 0.123 1
Pb4 Pb 0.746 0.746 0.263 1
O22 O 0.024 0.391 0.193 1
O23 O 0.245 0.245 0.645 1
Nb7 Nb 0.316 0.813 0.554 1
O24 O 0.245 0.864 0.645 1
Pb5 Pb 0.673 0.176 0.975 1
Pb6 Pb 0.389 0.389 0.834 1
Pb7 Pb 0.746 0.245 0.263 1
O25 O 0.601 0.222 0.576 1
Nb8 Nb 0.889 0.389 0.834 1
O26 O 0.819 0.443 0.919 1
Nb9 Nb 0.813 0.316 0.554 1
O27 O 0.602 0.602 0.816 1
Nb10 Nb 0.461 0.964 0.113 1
O28 O 0.799 0.175 0.850 1
O29 O 0.555 0.178 0.090 1
O30 O 0.175 0.175 0.850 1
O31 O 0.779 0.779 0.664 1
O32 O 0.391 0.024 0.193 1
Nb11 Nb 0.675 0.675 0.974 1
O33 O 0.959 0.959 0.747 1
O34 O 0.443 0.819 0.919 1
Pb8 Pb 0.602 0.602 0.693 1
O35 O 0.336 0.959 0.747 1
Pb9 Pb 0.815 0.815 0.554 1
Nb12 Nb 0.461 0.461 0.113 1
O36 O 0.922 0.922 0.234 1
Pb10 Pb 0.103 0.602 0.693 1
O37 O 0.673 0.284 0.370 1
O38 O 0.198 0.198 0.407 1
O39 O 0.915 0.533 0.020 1
Pb11 Pb 0.245 0.746 0.263 1
O40 O 0.178 0.555 0.090 1
O41 O 0.601 0.601 0.576 1
O42 O 0.178 0.178 0.090 1
O43 O 0.582 0.582 0.254 1
O44 O 0.222 0.601 0.576 1
O45 O 0.353 0.353 0.942 1
O46 O 0.864 0.245 0.645 1
Pb12 Pb 0.030 0.030 0.408 1
O47 O 0.104 0.499 0.293 1
Pb13 Pb 0.176 0.176 0.975 1
Pb14 Pb 0.962 0.962 0.113 1
O48 O 0.852 0.852 0.445 1
Nb13 Nb 0.389 0.889 0.834 1
O49 O 0.104 0.104 0.293 1
Pb15 Pb 0.030 0.532 0.408 1
O50 O 0.386 0.386 0.472 1
# MP2020-corrected energy in eV per atom: -7.958
# Space-group type: R3m, No. 160
# Volume in Å³ per cell: 1146.1
# E_form in eV per atom: -2.388
# Total moment in μB per formula unit: 2.8

---

# Nb2PbO6 (PBE, optimized geometry)
data_Nb2PbO6
_symmetry_space_group_name_H-M 'P 1'
_symmetry_Int_Tables_number 1
_symmetry_space_group_name_Hall 'P 1'
_cell_length_a 7.339
_cell_length_b 7.339
_cell_length_c 7.339
_cell_angle_alpha 93.99
_cell_angle_beta 93.99
_cell_angle_gamma 93.99
loop_
_atom_site_label
_atom_site_type_symbol
_atom_site_fract_x
_atom_site_fract_y
_atom_site_fract_z
_atom_site_occupancy
O1 O 0.058 0.510 0.058 1
Pb1 Pb 0.650 0.650 0.650 1
Nb1 Nb 0.513 0.815 0.162 1
O2 O 0.510 0.058 0.058 1
Pb2 Pb 0.354 0.354 0.354 1
O3 O 0.678 0.396 0.961 1
O4 O 0.678 0.961 0.396 1
O5 O 0.396 0.678 0.961 1
Nb2 Nb 0.815 0.162 0.513 1
O6 O 0.058 0.058 0.510 1
Nb3 Nb 0.162 0.815 0.513 1
O7 O 0.582 0.302 0.582 1
O8 O 0.582 0.582 0.302 1
O9 O 0.302 0.582 0.582 1
O10 O 0.961 0.678 0.396 1
O11 O 0.961 0.396 0.678 1
O12 O 0.773 0.068 0.773 1
O13 O 0.396 0.961 0.678 1
O14 O 0.773 0.773 0.068 1
Pb3 Pb 0.992 0.992 0.992 1
Nb4 Nb 0.513 0.162 0.815 1
Nb5 Nb 0.815 0.513 0.162 1
O15 O 0.841 0.304 0.304 1
O16 O 0.304 0.841 0.304 1
O17 O 0.068 0.773 0.773 1
O18 O 0.304 0.304 0.841 1
Nb6 Nb 0.162 0.513 0.815 1
# MP2020-corrected energy in eV per atom: -8.693
# Space-group type: R3m, No. 160
# Volume in Å³ per cell: 392.3
# E_form in eV per atom: -2.737

---

# Nb2Pb2O7 (PBE, optimized geometry)
data_Nb2Pb2O7
_symmetry_space_group_name_H-M 'P 1'
_symmetry_Int_Tables_number 1
_symmetry_space_group_name_Hall 'P 1'
_cell_length_a 7.684
_cell_length_b 7.684
_cell_length_c 7.684
_cell_angle_alpha 60.00
_cell_angle_beta 60.00
_cell_angle_gamma 60.00
loop_
_atom_site_label
_atom_site_type_symbol
_atom_site_fract_x
_atom_site_fract_y
_atom_site_fract_z
_atom_site_occupancy
O1 O 0.814 0.186 0.814 1
O2 O 0.064 0.064 0.436 1
Pb1 Pb 0.625 0.125 0.625 1
Nb1 Nb 0.625 0.125 0.125 1
O3 O 0.436 0.436 0.064 1
O4 O 0.500 0.500 0.500 1
Pb2 Pb 0.625 0.625 0.125 1
O5 O 0.064 0.436 0.436 1
O6 O 0.814 0.814 0.186 1
Nb2 Nb 0.125 0.625 0.125 1
Nb3 Nb 0.125 0.125 0.625 1
O7 O 0.814 0.186 0.186 1
O8 O 0.750 0.750 0.750 1
O9 O 0.186 0.814 0.186 1
Pb3 Pb 0.125 0.625 0.625 1
O10 O 0.186 0.186 0.814 1
O11 O 0.436 0.064 0.436 1
Nb4 Nb 0.125 0.125 0.125 1
O12 O 0.064 0.436 0.064 1
Pb4 Pb 0.625 0.625 0.625 1
O13 O 0.186 0.814 0.814 1
O14 O 0.436 0.064 0.064 1
# MP2020-corrected energy in eV per atom: -8.153
# Space-group type: Fd-3m, No. 227
# Volume in Å³ per cell: 320.9
# E_form in eV per atom: -2.492
# Total moment in μB per formula unit: 0.0

---

no.,electronic total energy (eV/atom)
1,-7.5174
2,-8.2345
3,-7.7155